Density functional theory data (PBE) for a relaxed structure of Y4Zr3O12.

Cell: 6.4346 6.4964 12.9254 Å, 99.13 99.37 99.31°
Fractional coordinates of all 38 atoms:
Y (0.1117, 0.1359, 0.4025)
Y (0.1883, 0.3901, 0.6813)
Y (0.2027, 0.3899, 0.1813)
Y (0.3590, 0.6933, 0.9472)
Y (0.6410, 0.3067, 0.0528)
Y (0.7973, 0.6101, 0.8187)
Y (0.8117, 0.6099, 0.3187)
Y (0.8883, 0.8641, 0.5975)
Zr (0.1076, 0.1439, 0.9064)
Zr (0.3547, 0.6755, 0.4469)
Zr (0.4914, 0.9934, 0.7467)
Zr (0.5086, 0.0066, 0.2533)
Zr (0.6453, 0.3245, 0.5531)
Zr (0.8924, 0.8561, 0.0936)
O (0.0669, 0.8312, 0.9633)
O (0.0724, 0.4149, 0.8420)
O (0.0910, 0.8191, 0.4630)
O (0.0943, 0.4345, 0.3423)
O (0.1798, 0.0557, 0.7134)
O (0.1839, 0.0368, 0.2033)
O (0.3139, 0.4050, 0.0296)
O (0.3267, 0.4254, 0.5340)
O (0.4225, 0.0784, 0.9052)
O (0.4249, 0.6830, 0.7778)
O (0.4246, 0.6955, 0.2930)
O (0.4667, 0.1080, 0.4109)
O (0.5333, 0.8920, 0.5891)
O (0.5754, 0.3045, 0.7070)
O (0.5751, 0.3170, 0.2222)
O (0.5775, 0.9216, 0.0948)
O (0.6733, 0.5746, 0.4660)
O (0.6861, 0.5950, 0.9704)
O (0.8161, 0.9632, 0.7967)
O (0.8202, 0.9443, 0.2866)
O (0.9057, 0.5655, 0.6577)
O (0.9090, 0.1809, 0.5370)
O (0.9276, 0.5851, 0.1580)
O (0.9331, 0.1688, 0.0367)

## Properties
- E above lowest polymorph: 0.008 eV per atom
- Formation enthalpy at 0 K: -3916.8 meV per atom
- Crystal system: triclinic

Density functional theory data (PBE) for a relaxed structure of Na2CdO2.

Cell: 9.3881 9.4017 9.4094 Å, 109.67 109.35 109.29°
Fractional coordinates of all 40 atoms:
Na (0.0000, 0.0000, 0.0000)
Na (0.0021, 0.2729, 0.8176)
Na (0.1775, 0.7230, 0.9954)
Na (0.1859, 0.9697, 0.7789)
Na (0.2173, 0.4582, 0.2255)
Na (0.2760, 0.7500, 0.5437)
Na (0.4602, 0.4731, 0.5370)
Na (0.4736, 0.2503, 0.2370)
Na (0.4894, 0.9566, 0.0029)
Na (0.4954, 0.4649, 0.0485)
Na (0.6930, 0.1926, 0.5025)
Na (0.7132, 0.7722, 0.0274)
Na (0.7426, 0.7021, 0.5076)
Na (0.7727, 0.5122, 0.8046)
Na (0.9633, 0.0155, 0.5065)
Na (0.9946, 0.2202, 0.3055)
Cd (0.2414, 0.0166, 0.3128)
Cd (0.2658, 0.4971, 0.7669)
Cd (0.4489, 0.2029, 0.7239)
Cd (0.4972, 0.7766, 0.2753)
Cd (0.6898, 0.9586, 0.7315)
Cd (0.7576, 0.2762, 0.0472)
Cd (0.9442, 0.6920, 0.2570)
Cd (0.9513, 0.5090, 0.5382)
O (0.1987, 0.9584, 0.5146)
O (0.2193, 0.7205, 0.7587)
O (0.2320, 0.2316, 0.2727)
O (0.2699, 0.5267, 0.0240)
O (0.4415, 0.9780, 0.2420)
O (0.4810, 0.2000, 0.9778)
O (0.4827, 0.7140, 0.4838)
O (0.4997, 0.4756, 0.7951)
O (0.7028, 0.4541, 0.5200)
O (0.7159, 0.2302, 0.7757)
O (0.7288, 0.7405, 0.2700)
O (0.7551, 0.0230, 0.0093)
O (0.9395, 0.9879, 0.7381)
O (0.9801, 0.7713, 0.0697)
O (0.9897, 0.2867, 0.5625)
O (0.9967, 0.4913, 0.3001)

## Properties
- Formation enthalpy at 0 K: -1471.1 meV per atom
- Crystal system: triclinic